{"formula": "BaTlNi2O6", "functional": "PBE+U", "state": "optimized geometry", "magnetic_moment_mub_per_fu": 4.7, "corrected_energy_ev_per_cell": -110.3, "final_energy_ev_per_cell": -91.869, "formation_enthalpy_0k_ev_per_atom": -0.961, "crystal_system": "monoclinic", "space_group": "C2, No. 5", "cell": [[2.598, 2.585, 0.000], [-2.598, 2.585, 0.000], [0.000, 2.428, 23.004]], "species": ["O", "O", "O", "O", "O", "O", "O", "O", "O", "O", "O", "O", "Ni", "Ni", "Ni", "Ni", "Ba", "Ba", "Tl", "Tl"], "frac_coords": [[0.465, 0.955, 0.574], [0.386, 0.891, 0.725], [0.109, 0.614, 0.275], [0.226, 0.237, 0.039], [0.545, 0.036, 0.425], [0.621, 0.118, 0.272], [0.964, 0.455, 0.575], [0.319, 0.317, 0.859], [0.763, 0.774, 0.961], [0.683, 0.681, 0.141], [0.882, 0.379, 0.728], [0.045, 0.535, 0.426], [0.610, 0.610, 0.289], [0.390, 0.390, 0.711], [0.465, 0.455, 0.574], [0.545, 0.535, 0.426], [0.158, 0.159, 0.188], [0.841, 0.842, 0.812], [0.279, 0.273, 0.947], [0.727, 0.721, 0.053]]}